# 1
## Cs3NpH8O9 (PBE-GGA)

Data for a relaxed structure of Cs3NpH8O9.

Unit cell a=8.7668 b=8.7668 c=8.3067 alpha=93.53 beta=93.53 gamma=84.29
With the nearest neighbours (Å) after each atom.
Fractional coordinates of all 42 atoms:
Cs  0.0694  0.9306  0.7500  6 O 3.09-3.45, 4 H 3.26-3.32
Cs  0.2146  0.3888  0.5504  4 H 3.02-3.35, 6 O 3.10-3.37
Cs  0.3888  0.2146  0.0504  4 H 3.02-3.35, 6 O 3.10-3.37
Cs  0.6112  0.7854  0.9496  4 H 3.02-3.35, 6 O 3.10-3.37
Cs  0.7854  0.6112  0.4496  4 H 3.02-3.35, 6 O 3.10-3.37
Cs  0.9306  0.0694  0.2500  6 O 3.09-3.45, 4 H 3.26-3.32
Np  0.0000  0.5000  0.0000  4 O 1.90-1.92
Np  0.5000  0.0000  0.5000  4 O 1.90-1.92
H  0.0826  0.7135  0.3109  1 O 0.98
H  0.2241  0.7478  0.4370  1 O 1.01
H  0.2522  0.7759  0.0630  1 O 1.01
H  0.2865  0.9174  0.1891  1 O 0.98
H  0.3104  0.5582  0.9198  1 O 0.98
H  0.3894  0.5491  0.1636  1 O 1.01
H  0.4418  0.6896  0.5802  1 O 0.98
H  0.4509  0.6106  0.3364  1 O 1.01
H  0.5491  0.3894  0.6636  1 O 1.01
H  0.5582  0.3104  0.4198  1 O 0.98
H  0.6106  0.4509  0.8364  1 O 1.01
H  0.6896  0.4418  0.0802  1 O 0.98
H  0.7135  0.0826  0.8109  1 O 0.98
H  0.7478  0.2241  0.9370  1 O 1.01
H  0.7759  0.2522  0.5630  1 O 1.01
H  0.9174  0.2865  0.6891  1 O 0.98
O  0.0445  0.4044  0.1988  1 Np 1.90
O  0.0727  0.3149  0.8814  1 Np 1.92, 1 H 2.05
O  0.1091  0.7464  0.4233  2 H 0.98-1.01
O  0.2536  0.8909  0.0767  2 H 0.98-1.01
O  0.2555  0.5862  0.0176  1 H 0.98
O  0.3149  0.0727  0.3814  1 Np 1.92, 1 H 2.05
O  0.4044  0.0445  0.6988  1 Np 1.90
O  0.4138  0.7445  0.4824  1 H 0.98
O  0.4735  0.5265  0.2500  2 H 1.01
O  0.5265  0.4735  0.7500  2 H 1.01
O  0.5862  0.2555  0.5176  1 H 0.98
O  0.5956  0.9555  0.3012  1 Np 1.90
O  0.6851  0.9274  0.6186  1 Np 1.92, 1 H 2.05
O  0.7445  0.4138  0.9824  1 H 0.98
O  0.7464  0.1091  0.9233  2 H 0.98-1.01
O  0.8909  0.2536  0.5767  2 H 0.98-1.01
O  0.9274  0.6851  0.1186  1 Np 1.92, 1 H 2.05
O  0.9555  0.5956  0.8012  1 Np 1.90

Summary:
Total energy after the MP2020 corrections: -6.025 eV/atom
Calculated formation energy: -1868 meV/atom

***

# 2
## Ba3Bi3N5 (PBE-GGA)

Data for a relaxed structure of Ba3Bi3N5.

Unit cell a=6.6720 b=8.5957 c=9.8945 alpha=107.17 beta=101.27 gamma=99.88
With the nearest neighbours (Å) after each atom.
Fractional coordinates of all 22 atoms:
Ba  0.1581  0.1673  0.2365  3 N 2.71-2.93
Ba  0.1959  0.3556  0.9488  5 N 2.75-3.03
Ba  0.2693  0.0052  0.6187  2 N 2.62-2.69
Ba  0.7307  0.9948  0.3813  2 N 2.62-2.69
Ba  0.8041  0.6444  0.0512  5 N 2.75-3.03
Ba  0.8419  0.8327  0.7635  3 N 2.71-2.93
Bi  0.2145  0.4740  0.6387  3 N 2.14-2.35
Bi  0.3021  0.6706  0.3151  3 N 2.20-2.28
Bi  0.3667  0.8246  0.0019  3 N 2.25-2.38
Bi  0.6333  0.1754  0.9981  3 N 2.25-2.38
Bi  0.6979  0.3294  0.6849  3 N 2.20-2.28
Bi  0.7855  0.5260  0.3613  3 N 2.14-2.35
N  0.0078  0.4727  0.2052  2 Bi 2.20-2.35
N  0.0947  0.2142  0.5062  1 Bi 2.14
N  0.2718  0.0297  0.9237  2 Bi 2.26-2.38
N  0.2720  0.8746  0.2141  2 Bi 2.25-2.28
N  0.4874  0.4514  0.8051  2 Bi 2.22-2.28
N  0.5126  0.5486  0.1949  2 Bi 2.22-2.28
N  0.7280  0.1254  0.7859  2 Bi 2.25-2.28
N  0.7282  0.9703  0.0763  2 Bi 2.26-2.38
N  0.9053  0.7858  0.4938  1 Bi 2.14
N  0.9922  0.5273  0.7948  2 Bi 2.20-2.35

Summary:
Total energy after the MP2020 corrections: -5.553 eV/atom
Calculated formation energy: -179 meV/atom

***

# 3
## Mg5Si9 (PBE-GGA)

Data for a relaxed structure of Mg5Si9.

Unit cell a=5.4170 b=7.4584 c=13.0714 alpha=79.97 beta=79.46 gamma=70.02
With the nearest neighbours (Å) after each atom.
Fractional coordinates of all 28 atoms:
Mg  0.0000  0.0000  0.0000  9 Si 2.80-3.05
Mg  0.0175  0.6613  0.3784  6 Si 2.78-3.11, 1 Mg 3.09
Mg  0.2324  0.0243  0.6126  7 Si 2.81-3.01, 3 Mg 2.90-3.01
Mg  0.3238  0.6494  0.1545  9 Si 2.73-2.92, 1 Mg 3.05
Mg  0.4255  0.2583  0.9031  8 Si 2.81-3.10
Mg  0.4558  0.6900  0.5005  5 Si 2.67-2.91, 1 Mg 2.90
Mg  0.5891  0.5877  0.7241  7 Si 2.87-3.11, 1 Mg 3.04
Mg  0.6452  0.1636  0.6676  6 Si 2.71-2.92, 2 Mg 2.98-3.01
Mg  0.6961  0.4223  0.3152  10 Si 2.81-3.14, 1 Mg 3.05
Mg  0.9613  0.7903  0.8045  7 Si 2.81-3.09
Si  0.0048  0.0710  0.4208  4 Si 2.49-2.71
Si  0.0404  0.4294  0.0943  5 Si 2.49-2.77
Si  0.1569  0.4777  0.6868  3 Si 2.48-2.71
Si  0.2880  0.2865  0.2725  4 Si 2.55-2.77
Si  0.3261  0.3647  0.5116  3 Si 2.43-2.64, 1 Mg 2.72
Si  0.3437  0.6317  0.9459  3 Si 2.45-2.70, 1 Mg 2.73
Si  0.3553  0.0828  0.1203  7 Si 2.55-2.77
Si  0.3850  0.9457  0.8149  3 Si 2.49-2.70
Si  0.4057  0.8608  0.3044  5 Si 2.46-2.67, 1 Mg 2.67
Si  0.5565  0.0512  0.4182  4 Si 2.49-2.64
Si  0.6024  0.8407  0.9905  5 Si 2.50-2.76
Si  0.6715  0.2815  0.1258  5 Si 2.51-2.78, 2 Mg 2.79-2.80
Si  0.7733  0.7534  0.1641  4 Si 2.46-2.58
Si  0.8235  0.4722  0.9350  3 Si 2.45-2.58
Si  0.8767  0.3667  0.5102  2 Si 2.43-2.50, 2 Mg 2.70-2.71
Si  0.8906  0.8048  0.5735  3 Si 2.71-2.92, 5 Mg 2.82-3.01
Si  0.9591  0.9853  0.2219  4 Si 2.51-2.64, 1 Mg 2.78
Si  0.9749  0.2265  0.8016  3 Si 2.49-2.58

Summary:
Energy above the most stable polymorph in this dataset: 78 meV per atom
Total energy after the MP2020 corrections: -3.830 eV/atom
Calculated formation energy: 229 meV/atom

***

# 4
## ErBi12O20 (PBE-GGA)

Data for a relaxed structure of ErBi12O20.

Unit cell a=8.9512 b=8.9512 c=8.9512 alpha=109.47 beta=109.47 gamma=109.47
With the nearest neighbours (Å) after each atom.
Fractional coordinates of all 33 atoms:
Er  0.0000  0.0000  0.0000  4 O 2.15
Bi  0.1416  0.3105  0.8161  3 O 2.11-2.31
Bi  0.1689  0.8584  0.6745  3 O 2.11-2.31
Bi  0.1839  0.4944  0.3255  3 O 2.11-2.31
Bi  0.3105  0.8161  0.1416  3 O 2.11-2.31
Bi  0.3255  0.1839  0.4944  3 O 2.11-2.31
Bi  0.4944  0.3255  0.1839  3 O 2.11-2.31
Bi  0.5056  0.6895  0.8311  3 O 2.11-2.31
Bi  0.6745  0.1689  0.8584  3 O 2.11-2.31
Bi  0.6895  0.8311  0.5056  3 O 2.11-2.31
Bi  0.8161  0.1416  0.3105  3 O 2.11-2.31
Bi  0.8311  0.5056  0.6895  3 O 2.11-2.31
Bi  0.8584  0.6745  0.1689  3 O 2.11-2.31
O  0.0000  0.0000  0.2402  1 Er 2.15
O  0.0000  0.0000  0.6430  3 Bi 2.28
O  0.0000  0.2402  0.0000  1 Er 2.15
O  0.0000  0.6430  0.0000  3 Bi 2.28
O  0.1153  0.7562  0.3786  2 Bi 2.11-2.31
O  0.2402  0.0000  0.0000  1 Er 2.15
O  0.2438  0.3591  0.6224  2 Bi 2.11-2.31
O  0.2633  0.6409  0.8847  2 Bi 2.11-2.31
O  0.3570  0.3570  0.3570  3 Bi 2.28
O  0.3591  0.6224  0.2438  2 Bi 2.11-2.31
O  0.3776  0.7367  0.6214  2 Bi 2.11-2.31
O  0.3786  0.1153  0.7562  2 Bi 2.11-2.31
O  0.6214  0.3776  0.7367  2 Bi 2.11-2.31
O  0.6224  0.2438  0.3591  2 Bi 2.11-2.31
O  0.6409  0.8847  0.2633  2 Bi 2.11-2.31
O  0.6430  0.0000  0.0000  3 Bi 2.28
O  0.7367  0.6214  0.3776  2 Bi 2.11-2.31
O  0.7562  0.3786  0.1153  2 Bi 2.11-2.31
O  0.7598  0.7598  0.7598  1 Er 2.15
O  0.8847  0.2633  0.6409  2 Bi 2.11-2.31

Summary:
Total energy after the MP2020 corrections: -6.305 eV/atom
Calculated formation energy: -1753 meV/atom

***

> Among the records above, which one has the highest total energy after the MP2020 corrections?

Mg5Si9

***

> Among the records above, which one has the highest calculated formation energy?

Mg5Si9

***

> Look up the calculated formation energy of the first one.

-1868 meV/atom

***

> total energy after the MP2020 corrections of number 3 (Mg5Si9)?

-3.830 eV/atom